1.
Here is a geometry-optimized Na3CoBPO7 structure from Materials Project. Energies are from PBE+U.

Geometry as CIF:
```
data_Na3CoBPO7
_cell_length_a 5.155
_cell_length_b 17.570
_cell_length_c 6.884
_cell_angle_alpha 90.00
_cell_angle_beta 90.00
_cell_angle_gamma 87.94
_space_group_name_H-M_alt 'P 1'
_space_group_IT_number 1
_space_group_name_Hall 'P 1'
loop_
_atom_site_label
_atom_site_type_symbol
_atom_site_fract_x
_atom_site_fract_y
_atom_site_fract_z
_atom_site_occupancy
Na1 Na 0.255 0.134 0.010 1
Na2 Na 0.255 0.634 0.010 1
Na3 Na 0.255 0.634 0.490 1
Na4 Na 0.770 0.040 0.250 1
Na5 Na 0.744 0.866 0.509 1
Na6 Na 0.230 0.460 0.750 1
Na7 Na 0.770 0.540 0.250 1
Na8 Na 0.255 0.134 0.490 1
Na9 Na 0.745 0.366 0.509 1
Na10 Na 0.744 0.866 0.991 1
Na11 Na 0.745 0.366 0.991 1
Na12 Na 0.230 0.960 0.750 1
O1 O 0.218 0.840 0.931 1
O2 O 0.963 0.571 0.750 1
O3 O 0.878 0.284 0.250 1
O4 O 0.218 0.340 0.569 1
O5 O 0.783 0.160 0.431 1
O6 O 0.697 0.459 0.750 1
O7 O 0.576 0.767 0.750 1
O8 O 0.424 0.233 0.250 1
O9 O 0.576 0.267 0.750 1
O10 O 0.037 0.929 0.250 1
O11 O 0.783 0.660 0.069 1
O12 O 0.424 0.733 0.250 1
O13 O 0.304 0.540 0.250 1
O14 O 0.122 0.217 0.750 1
O15 O 0.697 0.959 0.750 1
O16 O 0.527 0.091 0.750 1
O17 O 0.122 0.717 0.750 1
O18 O 0.526 0.591 0.750 1
O19 O 0.473 0.909 0.250 1
O20 O 0.218 0.340 0.931 1
O21 O 0.304 0.040 0.250 1
O22 O 0.878 0.784 0.250 1
O23 O 0.963 0.071 0.750 1
O24 O 0.218 0.840 0.569 1
O25 O 0.037 0.429 0.250 1
O26 O 0.783 0.660 0.431 1
O27 O 0.473 0.409 0.250 1
O28 O 0.783 0.160 0.069 1
Co1 Co 0.781 0.169 0.750 1
Co2 Co 0.781 0.669 0.750 1
Co3 Co 0.219 0.831 0.250 1
Co4 Co 0.219 0.331 0.250 1
B1 B 0.274 0.465 0.250 1
B2 B 0.274 0.965 0.250 1
B3 B 0.725 0.535 0.750 1
B4 B 0.726 0.035 0.750 1
P1 P 0.278 0.290 0.750 1
P2 P 0.278 0.790 0.750 1
P3 P 0.722 0.710 0.250 1
P4 P 0.722 0.210 0.250 1
```

Computed properties:
* calculated total energy: -6.27 eV/atom
* total magnetic moment: 8.0 μB/cell
* formation energy from the elements: -2.32 eV/atom

=====

2.
Here is a geometry-optimized VCo3P4O16 structure from Materials Project. Energies are from PBE+U.

Geometry as CIF:
```
data_VCo3P4O16
_cell_length_a 4.861
_cell_length_b 5.913
_cell_length_c 9.863
_cell_angle_alpha 90.00
_cell_angle_beta 91.41
_cell_angle_gamma 90.00
_space_group_name_H-M_alt 'P 1'
_space_group_IT_number 1
_space_group_name_Hall 'P 1'
loop_
_atom_site_label
_atom_site_type_symbol
_atom_site_fract_x
_atom_site_fract_y
_atom_site_fract_z
_atom_site_occupancy
V1 V 0.000 0.000 0.000 1
Co1 Co 0.423 0.000 0.498 1
Co2 Co 0.510 0.500 0.041 1
Co3 Co 0.946 0.500 0.549 1
P1 P 0.049 0.500 0.868 1
P2 P 0.392 0.500 0.371 1
P3 P 0.584 0.000 0.175 1
P4 P 0.884 0.000 0.675 1
O1 O 0.125 0.500 0.715 1
O2 O 0.196 0.000 0.661 1
O3 O 0.196 0.293 0.939 1
O4 O 0.196 0.707 0.939 1
O5 O 0.250 0.294 0.445 1
O6 O 0.250 0.706 0.445 1
O7 O 0.272 0.000 0.139 1
O8 O 0.327 0.500 0.220 1
O9 O 0.633 0.000 0.327 1
O10 O 0.706 0.500 0.399 1
O11 O 0.731 0.203 0.607 1
O12 O 0.731 0.797 0.607 1
O13 O 0.735 0.200 0.101 1
O14 O 0.735 0.800 0.101 1
O15 O 0.740 0.500 0.880 1
O16 O 0.825 0.000 0.832 1
```

Computed properties:
* symmetry: No. 6
* calculated total energy: -6.83 eV/atom
* total magnetic moment: 2.5 μB/cell
* formation energy from the elements: -2.10 eV/atom

=====

3.
Here is a geometry-optimized Li4Mn5SbO12 structure from Materials Project. Energies are from PBE+U.

Geometry as CIF:
```
data_Li4Mn5SbO12
_cell_length_a 5.277
_cell_length_b 5.277
_cell_length_c 10.631
_cell_angle_alpha 94.98
_cell_angle_beta 94.98
_cell_angle_gamma 116.77
_space_group_name_H-M_alt 'P 1'
_space_group_IT_number 1
_space_group_name_Hall 'P 1'
loop_
_atom_site_label
_atom_site_type_symbol
_atom_site_fract_x
_atom_site_fract_y
_atom_site_fract_z
_atom_site_occupancy
Li1 Li 0.069 0.423 0.211 1
Li2 Li 0.423 0.069 0.211 1
Li3 Li 0.577 0.931 0.789 1
Li4 Li 0.931 0.577 0.789 1
Mn1 Mn 0.000 0.000 0.000 1
Mn2 Mn 0.166 0.834 0.500 1
Mn3 Mn 0.336 0.664 0.000 1
Mn4 Mn 0.664 0.336 0.000 1
Mn5 Mn 0.834 0.166 0.500 1
Sb1 Sb 0.500 0.500 0.500 1
O1 O 0.091 0.726 0.109 1
O2 O 0.162 0.499 0.396 1
O3 O 0.199 0.199 0.588 1
O4 O 0.274 0.909 0.891 1
O5 O 0.343 0.343 0.090 1
O6 O 0.499 0.162 0.396 1
O7 O 0.501 0.838 0.604 1
O8 O 0.657 0.657 0.910 1
O9 O 0.726 0.091 0.109 1
O10 O 0.801 0.801 0.412 1
O11 O 0.838 0.501 0.604 1
O12 O 0.909 0.274 0.891 1
```

Computed properties:
* symmetry: No. 12
* calculated total energy: -6.62 eV/atom
* total magnetic moment: 20.0 μB/cell
* formation energy from the elements: -2.06 eV/atom

=====

4.
Here is a geometry-optimized Li4V3P8O29 structure from Materials Project. Energies are from PBE+U.

Geometry as CIF:
```
data_Li4V3P8O29
_cell_length_a 9.764
_cell_length_b 9.779
_cell_length_c 14.079
_cell_angle_alpha 89.68
_cell_angle_beta 89.75
_cell_angle_gamma 60.06
_space_group_name_H-M_alt 'P 1'
_space_group_IT_number 1
_space_group_name_Hall 'P 1'
loop_
_atom_site_label
_atom_site_type_symbol
_atom_site_fract_x
_atom_site_fract_y
_atom_site_fract_z
_atom_site_occupancy
Li1 Li 0.000 0.000 0.000 1
Li2 Li 0.002 0.572 0.496 1
Li3 Li 0.143 0.986 0.491 1
Li4 Li 0.270 0.664 0.055 1
Li5 Li 0.467 0.333 0.114 1
Li6 Li 0.542 0.445 0.496 1
Li7 Li 0.903 0.760 0.116 1
Li8 Li 0.917 0.892 0.611 1
V1 V 0.227 0.235 0.804 1
V2 V 0.237 0.099 0.299 1
V3 V 0.661 0.238 0.306 1
V4 V 0.662 0.668 0.808 1
V5 V 0.794 0.106 0.804 1
V6 V 0.794 0.666 0.303 1
P1 P 0.001 0.580 0.716 1
P2 P 0.003 0.985 0.214 1
P3 P 0.143 0.985 0.708 1
P4 P 0.148 0.443 0.213 1
P5 P 0.314 0.352 0.399 1
P6 P 0.314 0.892 0.893 1
P7 P 0.454 0.354 0.895 1
P8 P 0.459 0.753 0.395 1
P9 P 0.538 0.585 0.209 1
P10 P 0.547 0.443 0.714 1
P11 P 0.565 0.000 0.686 1
P12 P 0.567 0.003 0.181 1
P13 P 0.898 0.333 0.924 1
P14 P 0.901 0.330 0.424 1
P15 P 0.909 0.898 0.395 1
P16 P 0.917 0.757 0.898 1
O1 O 0.010 0.895 0.126 1
O2 O 0.023 0.874 0.305 1
O3 O 0.024 0.670 0.806 1
O4 O 0.044 0.335 0.878 1
O5 O 0.049 0.180 0.379 1
O6 O 0.135 0.144 0.731 1
O7 O 0.145 0.412 0.720 1
O8 O 0.147 0.010 0.220 1
O9 O 0.147 0.285 0.225 1
O10 O 0.218 0.916 0.616 1
O11 O 0.222 0.432 0.485 1
O12 O 0.224 0.878 0.975 1
O13 O 0.229 0.462 0.307 1
O14 O 0.238 0.451 0.129 1
O15 O 0.238 0.870 0.796 1
O16 O 0.311 0.051 0.883 1
O17 O 0.315 0.322 0.886 1
O18 O 0.315 0.924 0.392 1
O19 O 0.324 0.192 0.377 1
O20 O 0.415 0.142 0.731 1
O21 O 0.420 0.998 0.229 1
O22 O 0.435 0.670 0.303 1
O23 O 0.436 0.462 0.804 1
O24 O 0.441 0.658 0.124 1
O25 O 0.450 0.433 0.986 1
O26 O 0.467 0.664 0.482 1
O27 O 0.480 0.430 0.623 1
O28 O 0.482 0.331 0.397 1
O29 O 0.487 0.754 0.890 1
O30 O 0.554 0.158 0.222 1
O31 O 0.557 0.010 0.076 1
O32 O 0.572 0.410 0.220 1
O33 O 0.572 0.850 0.734 1
O34 O 0.573 0.586 0.723 1
O35 O 0.576 0.995 0.581 1
O36 O 0.612 0.196 0.879 1
O37 O 0.612 0.762 0.375 1
O38 O 0.694 0.586 0.220 1
O39 O 0.708 0.289 0.735 1
O40 O 0.716 0.002 0.728 1
O41 O 0.719 0.857 0.220 1
O42 O 0.746 0.337 0.386 1
O43 O 0.749 0.048 0.375 1
O44 O 0.749 0.481 0.881 1
O45 O 0.760 0.756 0.883 1
O46 O 0.848 0.574 0.734 1
O47 O 0.849 0.140 0.226 1
O48 O 0.889 0.928 0.892 1
O49 O 0.892 0.750 0.395 1
O50 O 0.902 0.480 0.383 1
O51 O 0.903 0.178 0.882 1
O52 O 0.903 0.320 0.029 1
O53 O 0.908 0.324 0.530 1
O54 O 0.973 0.007 0.716 1
O55 O 0.976 0.582 0.215 1
O56 O 0.985 0.914 0.484 1
O57 O 0.991 0.668 0.626 1
O58 O 0.999 0.683 0.989 1
```

Computed properties:
* symmetry: No. 1
* calculated total energy: -7.04 eV/atom
* total magnetic moment: 2.0 μB/cell
* formation energy from the elements: -2.57 eV/atom